1.
! PBE-GGA NaSr4Fe10As10, relaxed; values from VASP
! Formation energy from the elements in meV/atom: -477.8
! E_tot in eV for the cell shown: -151.3
&SYSTEM
  ibrav = 0, nat = 25, ntyp = 4
/
ATOMIC_SPECIES
Na 22.99 Na.upf
Sr 87.62 Sr.upf
Fe 55.84 Fe.upf
As 74.92 As.upf
ATOMIC_POSITIONS angstrom
Na 0.000 0.000 0.000
Sr 5.359 1.754 0.000
Sr 1.754 3.499 0.000
Sr 2.675 0.930 5.824
Sr -0.930 2.675 5.824
Fe 3.544 2.658 -2.907
Fe 1.771 -0.885 2.917
Fe 4.429 0.000 2.912
Fe 2.658 5.314 -2.907
Fe 0.885 1.771 2.917
Fe 3.544 2.658 2.907
Fe 1.771 -0.885 8.730
Fe 0.000 4.429 2.912
Fe 2.658 5.314 2.907
Fe 0.885 1.771 8.730
As 6.206 -0.885 1.708
As 3.544 -1.777 4.116
As 2.652 0.885 1.708
As 0.000 0.000 4.117
As -0.885 2.652 1.708
As 5.314 1.777 4.116
As 0.000 0.000 7.531
As 1.777 3.544 4.116
As 0.885 6.206 1.708
As -1.777 5.314 4.116
CELL_PARAMETERS angstrom
-4.429 4.429 5.824
4.429 -4.429 5.824
4.429 4.429 -5.824

=====

2.
! PBE-GGA MgVN2, relaxed; values from VASP
! E (MP2020) in eV per atom: -7.907
! Formation energy from the elements in meV/atom: -1067.2
! E_tot in eV for the cell shown: -123.6
&SYSTEM
  ibrav = 0, nat = 16, ntyp = 3
/
ATOMIC_SPECIES
Mg 24.30 Mg.upf
V 50.94 V.upf
N 14.01 N.upf
ATOMIC_POSITIONS angstrom
Mg 0.506 0.808 0.000
Mg 2.368 4.131 2.537
Mg 3.380 2.514 0.000
Mg 5.242 5.837 2.537
V 0.436 4.157 0.048
V 2.438 0.835 2.585
V 3.310 5.810 0.048
V 5.312 2.488 2.585
N 0.377 4.049 1.915
N 0.599 0.954 2.143
N 2.275 4.277 4.680
N 2.497 0.726 4.453
N 3.251 5.919 1.915
N 3.473 2.368 2.143
N 5.149 5.691 4.680
N 5.371 2.596 4.453
CELL_PARAMETERS angstrom
5.748 0.000 0.000
0.000 6.645 0.000
0.000 0.000 5.075

=====

3.
! PBE-GGA YCr3Fe9, relaxed; values from VASP
! Formation energy from the elements in meV/atom: 3.5
! E_tot in eV for the cell shown: -111.6
&SYSTEM
  ibrav = 0, nat = 13, ntyp = 3
/
ATOMIC_SPECIES
Y 88.91 Y.upf
Cr 52.00 Cr.upf
Fe 55.84 Fe.upf
ATOMIC_POSITIONS angstrom
Y 0.000 0.000 0.000
Cr 2.352 -1.093 4.141
Cr 2.352 1.093 4.141
Cr 0.000 0.000 5.333
Fe 2.352 1.885 -0.050
Fe 2.352 0.000 1.855
Fe 0.000 0.000 3.037
Fe 1.177 2.101 2.062
Fe 1.175 -2.061 6.267
Fe 0.000 4.162 2.250
Fe 0.000 2.277 4.155
Fe 1.177 6.224 2.062
Fe 1.175 2.061 6.267
CELL_PARAMETERS angstrom
-2.352 4.162 4.205
2.352 -4.162 4.205
2.352 4.162 -4.205

=====

4.
! PBE-GGA Mg6TiGa, relaxed; values from VASP
! Distance to the lowest polymorph of the same formula in eV per formula unit: 0.00
! Formation energy from the elements in meV/atom: 30.8
! E_tot in eV for the cell shown: -40.6
&SYSTEM
  ibrav = 0, nat = 16, ntyp = 3
/
ATOMIC_SPECIES
Mg 24.30 Mg.upf
Ti 47.87 Ti.upf
Ga 69.72 Ga.upf
ATOMIC_POSITIONS angstrom
Mg 0.000 3.156 1.818
Mg 2.420 3.156 3.625
Mg 2.420 0.000 9.075
Mg 2.420 4.699 6.386
Mg 0.000 1.554 4.554
Mg 2.420 1.543 0.936
Mg 0.000 4.710 10.004
Mg 0.000 1.602 10.004
Mg 0.000 4.758 4.554
Mg 2.420 4.769 0.936
Mg 0.000 0.000 7.267
Mg 2.420 1.613 6.386
Ti 0.000 0.000 1.919
Ti 0.000 3.156 7.369
Ga 2.420 0.000 3.456
Ga 2.420 3.156 8.906
CELL_PARAMETERS angstrom
4.840 0.000 0.000
0.000 6.312 0.000
0.000 0.000 10.900

=====

| no. | spin magnetization (μB/f.u.) |
| --- | --- |
| 1 | 0.1 |
| 2 | 1.0 |
| 3 | 13.0 |
| 4 | 0.5 |